CsSrO3 | PBE | relaxed

a b c (Å): 4.930 4.930 4.930
angles (deg): 90.00 90.00 90.00
Sites, in units of the cell vectors:
Sr: 0.500 0.500 0.500
Cs: 0.000 0.000 0.000
O: 0.500 0.500 0.000
O: 0.500 0.000 0.500
O: 0.000 0.500 0.500

Summary:
spin magnetization	3.00	μB per formula unit
calculated volume	119.8	Å³/f.u.
energy of formation from the pure elements	-1.385	eV per atom
total energy after the MP2020 corrections	-4.87	eV per atom
total DFT energy (no corrections)	-22.3	eV for the cell shown

***

Cs2Sr2O3 | PBE | relaxed

a b c (Å): 7.515 7.227 7.453
angles (deg): 63.80 90.00 90.00
Sites, in units of the cell vectors:
O: 0.891 0.598 0.771
Sr: 0.621 0.667 0.569
Cs: 0.853 0.178 0.577
Sr: 0.379 0.333 0.431
O: 0.391 0.402 0.729
O: 0.000 0.000 0.000
O: 0.609 0.598 0.271
Cs: 0.647 0.178 0.077
Sr: 0.879 0.667 0.069
Sr: 0.121 0.333 0.931
O: 0.109 0.402 0.229
Cs: 0.353 0.822 0.923
Cs: 0.147 0.822 0.423
O: 0.500 0.000 0.500

Summary:
spin magnetization	0.00	μB per formula unit
calculated volume	181.6	Å³/f.u.
energy of formation from the pure elements	-2.201	eV per atom
total energy after the MP2020 corrections	-5.06	eV per atom
total DFT energy (no corrections)	-66.7	eV for the cell shown

***

Cs8Ta6O19 | PBE | relaxed

a b c (Å): 10.049 10.049 10.049
angles (deg): 119.85 119.85 90.25
Sites, in units of the cell vectors:
Cs: 0.435 0.068 0.800
Cs: 0.636 0.435 0.367
O: 0.037 0.949 0.264
Ta: 0.834 0.834 0.000
O: 0.803 0.370 0.174
O: 0.685 0.773 0.736
Ta: 0.896 0.214 0.109
O: 0.630 0.803 0.433
O: 0.197 0.630 0.826
Ta: 0.786 0.896 0.682
O: 0.704 0.704 0.000
O: 0.087 0.260 0.347
Cs: 0.932 0.732 0.367
O: 0.051 0.315 0.088
Ta: 0.104 0.786 0.891
Cs: 0.565 0.932 0.200
O: 0.773 0.037 0.088
Ta: 0.166 0.166 0.000
O: 0.949 0.685 0.912
O: 0.370 0.197 0.567
O: 0.740 0.087 0.827
O: 0.296 0.296 0.000
Ta: 0.214 0.104 0.318
Cs: 0.732 0.364 0.800
Cs: 0.068 0.268 0.633
Cs: 0.364 0.565 0.633
O: 0.913 0.740 0.653
O: 0.260 0.913 0.173
O: 0.315 0.227 0.264
O: 0.000 0.000 0.000
O: 0.227 0.963 0.912
Cs: 0.268 0.636 0.200
O: 0.963 0.051 0.736

Summary:
calculated volume	719.0	Å³/f.u.
energy of formation from the pure elements	-2.938	eV per atom
total energy after the MP2020 corrections	-8.16	eV per atom
total DFT energy (no corrections)	-256.2	eV for the cell shown

***

CsTaO3 | PBE | relaxed

a b c (Å): 4.144 4.144 4.144
angles (deg): 90.00 90.00 90.00
Sites, in units of the cell vectors:
Cs: 0.000 0.000 0.000
O: 0.500 0.000 0.500
O: 0.000 0.500 0.500
O: 0.500 0.500 0.000
Ta: 0.500 0.500 0.500

Summary:
spin magnetization	0.00	μB per formula unit
calculated volume	71.2	Å³/f.u.
energy of formation from the pure elements	-2.780	eV per atom
total energy after the MP2020 corrections	-8.30	eV per atom
total DFT energy (no corrections)	-39.4	eV for the cell shown

***

CsTbO3 | PBE | relaxed

a b c (Å): 4.594 4.594 4.594
angles (deg): 90.00 90.00 90.00
Sites, in units of the cell vectors:
O: 0.500 0.000 0.500
O: 0.000 0.500 0.500
O: 0.500 0.500 0.000
Tb: 0.500 0.500 0.500
Cs: 0.000 0.000 0.000

Summary:
spin magnetization	2.02	μB per formula unit
calculated volume	97.0	Å³/f.u.
energy of formation from the pure elements	-2.250	eV per atom
total energy after the MP2020 corrections	-6.32	eV per atom
total DFT energy (no corrections)	-29.6	eV for the cell shown

***

CsTcO4 | PBE | relaxed

a b c (Å): 5.915 6.087 14.784
angles (deg): 90.00 90.00 90.00
Sites, in units of the cell vectors:
Tc: 0.036 0.750 0.378
Tc: 0.964 0.250 0.622
O: 0.993 0.984 0.313
Cs: 0.473 0.750 0.626
O: 0.493 0.984 0.187
O: 0.346 0.750 0.032
Tc: 0.536 0.750 0.122
O: 0.507 0.484 0.813
O: 0.687 0.250 0.580
O: 0.654 0.250 0.968
Cs: 0.527 0.250 0.374
O: 0.154 0.250 0.532
O: 0.493 0.516 0.187
Tc: 0.464 0.250 0.878
O: 0.846 0.750 0.468
O: 0.187 0.250 0.920
O: 0.813 0.750 0.080
O: 0.007 0.016 0.687
Cs: 0.973 0.750 0.874
O: 0.993 0.516 0.313
O: 0.007 0.484 0.687
O: 0.313 0.750 0.420
Cs: 0.027 0.250 0.126
O: 0.507 0.016 0.813

Summary:
calculated volume	133.1	Å³/f.u.
energy of formation from the pure elements	-2.168	eV per atom
total energy after the MP2020 corrections	-7.34	eV per atom
total DFT energy (no corrections)	-165.2	eV for the cell shown